Record 1
VASP calculation (meta-GGA r2SCAN) on an optimized crystal structure of Sm2TlZn.

Values from the calculation:
Energy of formation from the pure elements ... -415 meV per atom
Final energy ... -30.804 eV per atom
Total magnetic moment ... 0.00 μB/atom

Unit cell a=7.503 b=7.503 c=7.503 alpha=90.00 beta=90.00 gamma=90.00
Space group Fm-3m (No. 225)
Unique sites:
1 Sm 0.250 0.250 0.250 (multiplicity 8)
2 Tl 0.000 0.000 0.000 (multiplicity 4)
3 Zn 0.000 0.000 0.500 (multiplicity 4)


Record 2
VASP calculation (meta-GGA r2SCAN) on an optimized crystal structure of Ba5V3HO13.

Values from the calculation:
Energy of formation from the pure elements ... -2956 meV per atom
Final energy ... -14.587 eV per atom
Total magnetic moment ... 0.00 μB/atom

Unit cell a=10.5382 b=10.5382 c=7.9119 alpha=90.00 beta=90.00 gamma=120.00
Space group P6_3 (No. 173)
Unique sites:
1 Ba 0.0164 0.2608 0.0000 (multiplicity 6)
2 Ba 0.3333 0.6667 0.2491 (multiplicity 2)
3 Ba 0.3333 0.6667 0.7510 (multiplicity 2)
4 V 0.0357 0.4018 0.4989 (multiplicity 6)
5 H 0.0000 0.0000 0.3222 (multiplicity 2)
6 O 0.0000 0.0000 0.4446 (multiplicity 2)
7 O 0.0915 0.3440 0.6721 (multiplicity 6)
8 O 0.0963 0.3518 0.3238 (multiplicity 6)
9 O 0.1269 0.5906 0.5021 (multiplicity 6)
10 O 0.1524 0.6716 0.9975 (multiplicity 6)


Record 3
VASP calculation (meta-GGA r2SCAN) on an optimized crystal structure of NpSi2Pd2.

Values from the calculation:
Energy of formation from the pure elements ... -808 meV per atom
Final energy ... -30.106 eV per atom
Total magnetic moment ... 0.79 μB/atom

Unit cell a=4.110 b=4.110 c=10.230 alpha=90.00 beta=90.00 gamma=90.00
Space group I4/mmm (No. 139)
Unique sites:
1 Np 0.000 0.000 0.000 (multiplicity 2)
2 Si 0.000 0.000 0.385 (multiplicity 4)
3 Pd 0.000 0.500 0.250 (multiplicity 4)


Record 4
VASP calculation (meta-GGA r2SCAN) on an optimized crystal structure of BaCrO4.

Values from the calculation:
Energy of formation from the pure elements ... -2541 meV per atom
Final energy ... -13.452 eV per atom
Total magnetic moment ... 0.00 μB/atom

Unit cell a=9.153 b=5.537 c=7.364 alpha=90.00 beta=90.00 gamma=90.00
Space group Pnma (No. 62)
Unique sites:
1 Ba 0.184 0.250 0.155 (multiplicity 4)
2 Cr 0.057 0.250 0.694 (multiplicity 4)
3 O 0.082 0.008 0.823 (multiplicity 8)
4 O 0.110 0.750 0.383 (multiplicity 4)
5 O 0.180 0.250 0.532 (multiplicity 4)


Record 5
VASP calculation (meta-GGA r2SCAN) on an optimized crystal structure of BaNd2Se4.

Values from the calculation:
Energy of formation from the pure elements ... -2217 meV per atom
Final energy ... -22.586 eV per atom
Total magnetic moment ... 0.00 μB/atom

Unit cell a=9.228 b=9.228 c=9.197 alpha=90.00 beta=90.00 gamma=90.00
Space group I-42d (No. 122)
Unique sites:
1 Ba 0.000 0.000 0.000 (multiplicity 4)
2 Nd 0.121 0.750 0.625 (multiplicity 8)
3 Se 0.077 0.669 0.936 (multiplicity 16)


Record 6
VASP calculation (meta-GGA r2SCAN) on an optimized crystal structure of NdPt.

Values from the calculation:
Energy of formation from the pure elements ... -1265 meV per atom
Final energy ... -41.718 eV per atom
Total magnetic moment ... 0.00 μB/atom

Unit cell a=7.343 b=4.599 c=5.704 alpha=90.00 beta=90.00 gamma=90.00
Space group Pnma (No. 62)
Unique sites:
1 Nd 0.183 0.250 0.138 (multiplicity 4)
2 Pt 0.044 0.250 0.653 (multiplicity 4)


Record 7
VASP calculation (meta-GGA r2SCAN) on an optimized crystal structure of Cu2PdAu.

Values from the calculation:
Energy of formation from the pure elements ... -124 meV per atom
Final energy ... -23.933 eV per atom
Total magnetic moment ... 0.00 μB/atom

Unit cell a=6.048 b=6.048 c=6.048 alpha=90.00 beta=90.00 gamma=90.00
Space group Fm-3m (No. 225)
Unique sites:
1 Cu 0.250 0.250 0.250 (multiplicity 8)
2 Pd 0.000 0.000 0.000 (multiplicity 4)
3 Au 0.000 0.000 0.500 (multiplicity 4)


Record 8
VASP calculation (meta-GGA r2SCAN) on an optimized crystal structure of LaZnNi.

Values from the calculation:
Energy of formation from the pure elements ... -355 meV per atom
Final energy ... -17.234 eV per atom
Total magnetic moment ... 0.00 μB/atom

Unit cell a=7.2443 b=7.2443 c=3.9010 alpha=90.00 beta=90.00 gamma=120.00
Space group P-62m (No. 189)
Unique sites:
1 La 0.0000 0.5821 0.0000 (multiplicity 3)
2 Zn 0.0000 0.2239 0.5000 (multiplicity 3)
3 Ni 0.0000 0.0000 0.0000 (multiplicity 1)
4 Ni 0.3333 0.6667 0.5000 (multiplicity 2)